# 1
A relaxed structure of PrAl10Fe2, computed with GGA-PBE.

Lattice parameters (Å, degrees): 6.8625 6.8625 9.1263 90.00 90.00 97.24
With the nearest neighbours (Å) after each atom.
Atoms (fractional coordinates):
Pr 0.1238 0.8762 0.7500  14 Al 3.18-3.34, 4 Fe 3.47
Pr 0.8762 0.1238 0.2500  14 Al 3.18-3.34, 4 Fe 3.47
Al 0.1336 0.4135 0.7500  2 Fe 2.56, 8 Al 2.63-2.86
Al 0.1597 0.8403 0.0980  6 Al 2.58-2.85, 2 Fe 2.61
Al 0.1597 0.8403 0.4020  6 Al 2.58-2.85, 2 Fe 2.61
Al 0.2215 0.4800 0.2500  7 Al 2.63-2.91, 2 Fe 2.75
Al 0.2293 0.2293 0.0000  2 Fe 2.58, 8 Al 2.73-2.86
Al 0.2293 0.2293 0.5000  2 Fe 2.58, 8 Al 2.73-2.86
Al 0.3751 0.6249 0.5467  6 Al 2.58-2.80, 2 Fe 2.64
Al 0.3751 0.6249 0.9533  6 Al 2.58-2.80, 2 Fe 2.64
Al 0.4135 0.1336 0.2500  2 Fe 2.56, 8 Al 2.63-2.86
Al 0.4800 0.2215 0.7500  7 Al 2.63-2.91, 2 Fe 2.75
Al 0.5200 0.7785 0.2500  7 Al 2.63-2.91, 2 Fe 2.75
Al 0.5865 0.8664 0.7500  2 Fe 2.56, 8 Al 2.63-2.86
Al 0.6249 0.3751 0.0467  6 Al 2.58-2.80, 2 Fe 2.64
Al 0.6249 0.3751 0.4533  6 Al 2.58-2.80, 2 Fe 2.64
Al 0.7707 0.7707 0.0000  2 Fe 2.58, 8 Al 2.73-2.86
Al 0.7707 0.7707 0.5000  2 Fe 2.58, 8 Al 2.73-2.86
Al 0.7785 0.5200 0.7500  7 Al 2.63-2.91, 2 Fe 2.75
Al 0.8403 0.1597 0.5980  6 Al 2.58-2.85, 2 Fe 2.61
Al 0.8403 0.1597 0.9020  6 Al 2.58-2.85, 2 Fe 2.61
Al 0.8664 0.5865 0.2500  2 Fe 2.56, 8 Al 2.63-2.86
Fe 0.0000 0.5000 0.0000  10 Al 2.56-2.75
Fe 0.0000 0.5000 0.5000  10 Al 2.56-2.75
Fe 0.5000 0.0000 0.0000  10 Al 2.56-2.75
Fe 0.5000 0.0000 0.5000  10 Al 2.56-2.75

Computed properties:
Its spin magnetization is 0.00 μB per formula unit. As for the symmetry: Cmcm. The calculation puts the energy of formation from the pure elements at -342 meV/atom. Its density is 4.07 g cm⁻³.

---

# 2
A relaxed structure of PrAl8Fe2, computed with GGA-PBE.

Lattice parameters (Å, degrees): 12.5694 14.3557 4.0300 90.00 90.00 90.00
With the nearest neighbours (Å) after each atom.
Atoms (fractional coordinates):
Pr 0.1613 0.1813 0.0000  13 Al 3.16-3.35
Pr 0.3387 0.6813 0.0000  13 Al 3.16-3.35
Pr 0.6613 0.3187 0.0000  13 Al 3.16-3.35
Pr 0.8387 0.8187 0.0000  13 Al 3.16-3.35
Al 0.0000 0.0000 0.0000  2 Fe 2.34
Al 0.0000 0.5000 0.5000  4 Fe 2.43, 4 Al 2.62-2.64
Al 0.0275 0.8679 0.5000  2 Fe 2.58, 6 Al 2.65-2.79
Al 0.0489 0.3225 0.5000  2 Fe 2.59, 6 Al 2.62-2.90
Al 0.0922 0.7465 0.0000  2 Fe 2.35-2.37
Al 0.1576 0.6216 0.5000  2 Fe 2.59, 5 Al 2.64-2.82
Al 0.1659 0.4565 0.0000  3 Fe 2.45-2.59
Al 0.1677 0.0080 0.5000  2 Fe 2.53, 3 Al 2.67-2.74
Al 0.2342 0.8304 0.5000  2 Fe 2.50, 3 Al 2.65-2.73
Al 0.2658 0.3304 0.5000  2 Fe 2.50, 3 Al 2.65-2.73
Al 0.3323 0.5080 0.5000  2 Fe 2.53, 3 Al 2.67-2.74
Al 0.3341 0.9565 0.0000  3 Fe 2.45-2.59
Al 0.3424 0.1216 0.5000  2 Fe 2.59, 5 Al 2.64-2.82
Al 0.4078 0.2465 0.0000  2 Fe 2.35-2.37
Al 0.4511 0.8225 0.5000  2 Fe 2.59, 6 Al 2.62-2.90
Al 0.4725 0.3679 0.5000  2 Fe 2.58, 6 Al 2.65-2.79
Al 0.5000 0.0000 0.5000  4 Fe 2.43, 4 Al 2.62-2.64
Al 0.5000 0.5000 0.0000  2 Fe 2.34
Al 0.5275 0.6321 0.5000  2 Fe 2.58, 6 Al 2.65-2.79
Al 0.5489 0.1775 0.5000  2 Fe 2.59, 6 Al 2.62-2.90
Al 0.5922 0.7535 0.0000  2 Fe 2.35-2.37
Al 0.6576 0.8784 0.5000  2 Fe 2.59, 5 Al 2.64-2.82
Al 0.6659 0.0435 0.0000  3 Fe 2.45-2.59
Al 0.6677 0.4920 0.5000  2 Fe 2.53, 3 Al 2.67-2.74
Al 0.7342 0.6696 0.5000  2 Fe 2.50, 3 Al 2.65-2.73
Al 0.7658 0.1696 0.5000  2 Fe 2.50, 3 Al 2.65-2.73
Al 0.8323 0.9920 0.5000  2 Fe 2.53, 3 Al 2.67-2.74
Al 0.8341 0.5435 0.0000  3 Fe 2.45-2.59
Al 0.8424 0.3784 0.5000  2 Fe 2.59, 5 Al 2.64-2.82
Al 0.9078 0.2535 0.0000  2 Fe 2.35-2.37
Al 0.9511 0.6775 0.5000  2 Fe 2.59, 6 Al 2.62-2.90
Al 0.9725 0.1321 0.5000  2 Fe 2.58, 6 Al 2.65-2.79
Fe 0.0332 0.5899 0.0000  9 Al 2.37-2.59
Fe 0.1495 0.9025 0.0000  9 Al 2.34-2.58
Fe 0.3505 0.4025 0.0000  9 Al 2.34-2.58
Fe 0.4668 0.0899 0.0000  9 Al 2.37-2.59
Fe 0.5332 0.9101 0.0000  9 Al 2.37-2.59
Fe 0.6495 0.5975 0.0000  9 Al 2.34-2.58
Fe 0.8505 0.0975 0.0000  9 Al 2.34-2.58
Fe 0.9668 0.4101 0.0000  9 Al 2.37-2.59

Computed properties:
As for the symmetry: Pbam. The calculation puts the energy of formation from the pure elements at -396 meV/atom. Its density is 4.28 g cm⁻³.

---

# 3
A relaxed structure of Pr2AlFe16, computed with GGA-PBE.

Lattice parameters (Å, degrees): 6.4722 6.4722 6.4722 82.75 82.75 82.75
With the nearest neighbours (Å) after each atom.
Atoms (fractional coordinates):
Pr 0.0000 0.0000 0.0000  18 Fe 3.08-3.33, 1 Al 3.13
Pr 0.3126 0.3126 0.3126  19 Fe 3.06-3.31
Al 0.7502 0.7502 0.7502  13 Fe 2.43-2.71
Fe 0.1557 0.6551 0.6551  9 Fe 2.44-2.61, 1 Al 2.63
Fe 0.3139 0.3139 0.8107  9 Fe 2.46-2.70
Fe 0.3139 0.8107 0.3139  9 Fe 2.46-2.70
Fe 0.3702 0.6557 0.9400  8 Fe 2.43-2.70, 1 Al 2.71
Fe 0.3702 0.9400 0.6557  8 Fe 2.43-2.70, 1 Al 2.71
Fe 0.5003 0.9966 0.9966  8 Fe 2.46-2.70, 1 Al 2.65
Fe 0.5563 0.5563 0.5563  1 Al 2.43, 6 Fe 2.61-2.64
Fe 0.6551 0.1557 0.6551  9 Fe 2.44-2.61, 1 Al 2.63
Fe 0.6551 0.6551 0.1557  9 Fe 2.44-2.61, 1 Al 2.63
Fe 0.6557 0.3702 0.9400  8 Fe 2.43-2.70, 1 Al 2.71
Fe 0.6557 0.9400 0.3702  8 Fe 2.43-2.70, 1 Al 2.71
Fe 0.8107 0.3139 0.3139  9 Fe 2.46-2.70
Fe 0.9400 0.3702 0.6557  8 Fe 2.43-2.70, 1 Al 2.71
Fe 0.9400 0.6557 0.3702  8 Fe 2.43-2.70, 1 Al 2.71
Fe 0.9966 0.5003 0.9966  8 Fe 2.46-2.70, 1 Al 2.65
Fe 0.9966 0.9966 0.5003  8 Fe 2.46-2.70, 1 Al 2.65

Computed properties:
Its spin magnetization is 34.30 μB per formula unit. As for the symmetry: R3m. The calculation puts the energy of formation from the pure elements at 10 meV/atom. Its density is 7.53 g cm⁻³.

---

# 4
A relaxed structure of Pr3AlFeS7, computed with GGA-PBE.

Lattice parameters (Å, degrees): 10.1171 10.1171 5.9941 90.00 90.00 120.00
With the nearest neighbours (Å) after each atom.
Atoms (fractional coordinates):
Pr 0.1412 0.3723 0.0000  7 S 2.87-3.02
Pr 0.2311 0.8588 0.0000  7 S 2.87-3.02
Pr 0.3723 0.2311 0.5000  7 S 2.87-3.02
Pr 0.6277 0.7689 0.0000  7 S 2.87-3.02
Pr 0.7689 0.1412 0.5000  7 S 2.87-3.02
Pr 0.8588 0.6277 0.5000  7 S 2.87-3.02
Al 0.3333 0.6667 0.4197  4 S 2.22-2.25
Al 0.6667 0.3333 0.9197  4 S 2.22-2.25
Fe 0.0000 0.0000 0.2795  6 S 2.49-2.59
Fe 0.0000 0.0000 0.7795  6 S 2.49-2.59
S 0.0892 0.2318 0.5426  2 Fe 2.49-2.59
S 0.0988 0.5804 0.2741  1 Al 2.25
S 0.1426 0.9108 0.5426  2 Fe 2.49-2.59
S 0.2318 0.1426 0.0426  2 Fe 2.49-2.59
S 0.3333 0.6667 0.7896  1 Al 2.22
S 0.4196 0.5184 0.2741  1 Al 2.25
S 0.4816 0.9012 0.2741  1 Al 2.25
S 0.5184 0.0988 0.7741  1 Al 2.25
S 0.5804 0.4816 0.7741  1 Al 2.25
S 0.6667 0.3333 0.2896  1 Al 2.22
S 0.7682 0.8574 0.5426  2 Fe 2.49-2.59
S 0.8574 0.0892 0.0426  2 Fe 2.49-2.59
S 0.9012 0.4196 0.7741  1 Al 2.25
S 0.9108 0.7682 0.0426  2 Fe 2.49-2.59

Computed properties:
Its spin magnetization is 4.00 μB per formula unit. As for the symmetry: P6_3. The calculation puts the energy of formation from the pure elements at -1852 meV/atom. Its density is 4.56 g cm⁻³.

---

# 5
A relaxed structure of PuAlFe, computed with GGA-PBE.

Lattice parameters (Å, degrees): 8.5459 5.2437 5.2437 62.61 90.00 90.00
With the nearest neighbours (Å) after each atom.
Atoms (fractional coordinates):
Pu 0.1711 0.0000 0.0000  2 Pu 2.92-3.09, 7 Fe 2.96-3.23, 5 Al 3.03-3.18
Pu 0.2943 0.3245 0.3245  5 Fe 2.94-3.24, 7 Al 3.09-3.18, 1 Pu 3.09
Pu 0.7057 0.3245 0.3245  5 Fe 2.94-3.24, 7 Al 3.09-3.18, 1 Pu 3.09
Pu 0.8289 0.0000 0.0000  2 Pu 2.92-3.09, 7 Fe 2.96-3.23, 5 Al 3.03-3.18
Al 0.2445 0.6691 0.6691  4 Fe 2.56-2.59, 2 Al 2.74
Al 0.5000 0.3137 0.8246  2 Fe 2.59-2.66, 4 Al 2.67-2.78
Al 0.5000 0.8246 0.3137  2 Fe 2.59-2.66, 4 Al 2.67-2.78
Al 0.7555 0.6691 0.6691  4 Fe 2.56-2.59, 2 Al 2.74
Fe 0.0000 0.5044 0.5044  2 Al 2.56, 4 Fe 2.60-2.64
Fe 0.0000 0.5091 0.9989  2 Al 2.59, 4 Fe 2.60-2.78
Fe 0.0000 0.9989 0.5091  2 Al 2.59, 4 Fe 2.60-2.78
Fe 0.5000 0.8216 0.8216  6 Al 2.58-2.66

Computed properties:
Its spin magnetization is 0.08 μB per formula unit. As for the symmetry: Amm2. The calculation puts the energy of formation from the pure elements at 354 meV/atom. Its density is 10.41 g cm⁻³.

---

# 6
A relaxed structure of Al4Fe5Rh, computed with GGA-PBE.

Lattice parameters (Å, degrees): 2.8537 2.8537 15.0483 90.00 90.00 90.00
With the nearest neighbours (Å) after each atom.
Atoms (fractional coordinates):
Al 0.0000 0.0000 0.1003  8 Fe 2.46-2.52
Al 0.0000 0.0000 0.2872  8 Fe 2.46-2.56
Al 0.0000 0.0000 0.7128  8 Fe 2.46-2.56
Al 0.0000 0.0000 0.8997  8 Fe 2.46-2.52
Fe 0.5000 0.5000 0.0000  8 Al 2.52
Fe 0.5000 0.5000 0.1940  8 Al 2.46
Fe 0.5000 0.5000 0.3919  4 Al 2.56, 4 Rh 2.59, 4 Fe 2.85
Fe 0.5000 0.5000 0.6081  4 Al 2.56, 4 Rh 2.59, 4 Fe 2.85
Fe 0.5000 0.5000 0.8060  8 Al 2.46
Rh 0.0000 0.0000 0.5000  8 Fe 2.59, 4 Rh 2.85

Computed properties:
Its spin magnetization is 5.96 μB per formula unit. As for the symmetry: P4/mmm. The calculation puts the energy of formation from the pure elements at -239 meV/atom. Its density is 6.64 g cm⁻³.

---

# 7
A relaxed structure of Al2FeS4, computed with GGA-PBE.

Lattice parameters (Å, degrees): 12.5072 12.5072 12.5072 16.53 16.53 16.53
With the nearest neighbours (Å) after each atom.
Atoms (fractional coordinates):
Al 0.0000 0.0000 0.0000  6 S 2.39-2.51
Al 0.2347 0.2347 0.2347  4 S 2.24-2.29
Fe 0.7629 0.7629 0.7629  4 S 2.24-2.38
S 0.1191 0.1191 0.1191  3 Fe 2.24
S 0.2952 0.2952 0.2952  1 Al 2.24
S 0.6985 0.6985 0.6985  1 Fe 2.38, 3 Al 2.39
S 0.8753 0.8753 0.8753  3 Al 2.29

Computed properties:
Its spin magnetization is 3.29 μB per formula unit. As for the symmetry: R3m. The calculation puts the energy of formation from the pure elements at -1029 meV/atom. Its density is 2.86 g cm⁻³.

---

# 8
A relaxed structure of AlFe2S4, computed with GGA-PBE.

Lattice parameters (Å, degrees): 6.8784 6.8784 6.8784 119.33 118.68 91.73
With the nearest neighbours (Å) after each atom.
Atoms (fractional coordinates):
Al 0.0000 0.0000 0.0000  6 S 2.38-2.44
Al 0.5000 0.0000 0.5000  6 S 2.38-2.44
Fe 0.0000 0.5000 0.5000  6 S 2.43-2.50
Fe 0.5000 0.0000 0.0000  6 S 2.30-2.31
Fe 0.5000 0.5000 0.0000  6 S 2.43-2.50
Fe 0.5000 0.5000 0.5000  6 S 2.30-2.31
S 0.2602 0.2533 0.4932  3 Fe 2.30-2.50, 2 Al 2.44
S 0.2602 0.7670 0.0068  3 Fe 2.30-2.50, 2 Al 2.44
S 0.2799 0.2475 0.0323  3 Fe 2.31-2.43, 1 Al 2.38
S 0.2848 0.7525 0.5323  3 Fe 2.31-2.43, 1 Al 2.38
S 0.7152 0.2475 0.4677  3 Fe 2.31-2.43, 1 Al 2.38
S 0.7201 0.7525 0.9677  3 Fe 2.31-2.43, 1 Al 2.38
S 0.7398 0.2330 0.9932  3 Fe 2.30-2.50, 2 Al 2.44
S 0.7398 0.7467 0.5068  3 Fe 2.30-2.50, 2 Al 2.44

Computed properties:
Its spin magnetization is 5.00 μB per formula unit. As for the symmetry: Imma. The calculation puts the energy of formation from the pure elements at -762 meV/atom. Its density is 3.80 g cm⁻³.